# LiCaFeF6, optimized geometry, DFT PBE with a Hubbard U
data_LiCaFeF6
_chemical_formula_sum 'Li2 Ca2 Fe2 F12'
_cell_length_a 5.2260
_cell_length_b 5.2260
_cell_length_c 9.9280
_cell_angle_alpha 90.00
_cell_angle_beta 90.00
_cell_angle_gamma 120.00
_symmetry_space_group_name_H-M 'P -3 1 c'
_symmetry_Int_Tables_number 163
_symmetry_space_group_name_Hall '-P 3 2c'
loop_
_atom_site_label
_atom_site_type_symbol
_atom_site_fract_x
_atom_site_fract_y
_atom_site_fract_z
Li1 Li 0.3333 0.6667 0.2500
Ca1 Ca 0.0000 0.0000 0.0000
Fe1 Fe 0.3333 0.6667 0.7500
F1 F 0.0156 0.3612 0.8605
# Formation energy = -3316 meV/atom
# Total moment = 5.0 μB/f.u.
# Final energy = -5.41 eV per atom
# Crystal system = trigonal